Entry 1:
Below is a geometry-optimized Te2Mo3WS6 structure, with properties calculated at the PBE-GGA level.

Summary:
Crystal system = trigonal
Final energy = -7.03 eV per atom
Energy above the lowest structure with this stoichiometry = 0.2 kJ per mole of atoms
Symmetry = P3m1
ΔE_f = -86.6 kJ per mole of atoms

Cell: 3.2728 3.2728 37.2617 Å, 90.00 90.00 120.00°
Closest atoms and distances in Å follow each position.
Element x y z (fractional)
Te: 0.0000 0.0000 0.0000  3 Mo 2.70
Te: 0.0000 0.0000 0.1035  3 Mo 2.70
Mo: 0.0000 0.0000 0.8638  6 S 2.44
Mo: 0.6667 0.3333 0.0517  6 Te 2.70
Mo: 0.6667 0.3333 0.6760  6 S 2.44
W: 0.0000 0.0000 0.2397  6 S 2.44
S: 0.0000 0.0000 0.6347  3 Mo 2.44
S: 0.0000 0.0000 0.7173  3 Mo 2.44
S: 0.6667 0.3333 0.1983  3 W 2.44
S: 0.6667 0.3333 0.2812  3 W 2.44
S: 0.6667 0.3333 0.8226  3 Mo 2.44
S: 0.6667 0.3333 0.9051  3 Mo 2.44

Entry 2:
Below is a geometry-optimized CsUGaP2O10 structure, with properties calculated at the PBE-GGA level.

Summary:
Crystal system = triclinic
Final energy = -7.52 eV per atom
Symmetry = P-1
ΔE_f = -284.0 kJ per mole of atoms

Cell: 7.9423 8.6454 9.0960 Å, 66.21 70.08 83.58°
Closest atoms and distances in Å follow each position.
Element x y z (fractional)
Cs: 0.1672 0.1959 0.4842  6 O 3.12-3.43
Cs: 0.8328 0.8041 0.5158  6 O 3.12-3.43
U: 0.2850 0.5785 0.6661  2 O 1.82
U: 0.7150 0.4215 0.3339  2 O 1.82
Ga: 0.2546 0.9219 0.0121  4 O 1.83-1.86
Ga: 0.7454 0.0781 0.9879  4 O 1.83-1.86
P: 0.0270 0.2361 0.0563  4 O 1.53-1.57
P: 0.4573 0.8252 0.2839  4 O 1.53-1.56
P: 0.5427 0.1748 0.7161  4 O 1.53-1.56
P: 0.9730 0.7639 0.9437  4 O 1.53-1.57
O: 0.0562 0.7275 0.7817  1 P 1.54
O: 0.0977 0.0517 0.1158  1 P 1.57
O: 0.1175 0.7557 0.0275  1 P 1.56
O: 0.1326 0.5079 0.5937  1 U 1.82
O: 0.1799 0.3635 0.9268  1 P 1.53
O: 0.2998 0.8543 0.4240  1 P 1.53
O: 0.3875 0.0410 0.7875  1 P 1.56
O: 0.4084 0.8231 0.1337  1 P 1.55
O: 0.4451 0.6540 0.7266  1 U 1.82
O: 0.4757 0.3521 0.6239  1 P 1.56
O: 0.5243 0.6479 0.3761  1 P 1.56
O: 0.5549 0.3460 0.2734  1 U 1.82
O: 0.5916 0.1769 0.8663  1 P 1.55
O: 0.6125 0.9590 0.2125  1 P 1.56
O: 0.7002 0.1457 0.5760  1 P 1.53
O: 0.8201 0.6365 0.0732  1 P 1.53
O: 0.8674 0.4921 0.4063  1 U 1.82
O: 0.8825 0.2443 0.9725  1 P 1.56
O: 0.9023 0.9483 0.8842  1 P 1.57
O: 0.9438 0.2725 0.2183  1 P 1.54

Entry 3:
Below is a geometry-optimized KFeH24C14N8 structure, with properties calculated at the PBE-GGA level.

Summary:
Crystal system = tetragonal
Final energy = -6.02 eV per atom
Symmetry = I4/m
ΔE_f = -9.7 kJ per mole of atoms

Cell: 9.1825 9.1825 9.1825 Å, 119.01 119.01 91.73°
Closest atoms and distances in Å follow each position.
Element x y z (fractional)
K: 0.0000 0.0000 0.0000  6 N 3.28-3.53, 8 H 3.61
Fe: 0.5000 0.5000 0.0000  6 C 1.93-1.94
H: 0.0186 0.4168 0.7035  1 C 1.09
H: 0.0812 0.8932 0.4420  1 C 1.09
H: 0.1068 0.5487 0.1879  1 C 1.09
H: 0.1270 0.7937 0.6526  1 C 1.09
H: 0.1411 0.4744 0.3474  1 C 1.09
H: 0.2063 0.8589 0.3333  1 C 1.09
H: 0.2867 0.6849 0.7035  1 C 1.09
H: 0.3151 0.0186 0.6018  1 C 1.09
H: 0.3608 0.9188 0.8121  1 C 1.09
H: 0.4168 0.7133 0.3982  1 C 1.09
H: 0.4513 0.6392 0.5580  1 C 1.09
H: 0.4744 0.1270 0.3333  1 C 1.09
H: 0.5256 0.8730 0.6667  1 C 1.09
H: 0.5487 0.3608 0.4420  1 C 1.09
H: 0.5832 0.2867 0.6018  1 C 1.09
H: 0.6392 0.0812 0.1879  1 C 1.09
H: 0.6849 0.9814 0.3982  1 C 1.09
H: 0.7133 0.3151 0.2965  1 C 1.09
H: 0.7937 0.1411 0.6667  1 C 1.09
H: 0.8589 0.5256 0.6526  1 C 1.09
H: 0.8730 0.2063 0.3474  1 C 1.09
H: 0.8932 0.4513 0.8121  1 C 1.09
H: 0.9188 0.1068 0.5580  1 C 1.09
H: 0.9814 0.5832 0.2965  1 C 1.09
C: 0.1082 0.5752 0.3183  3 H 1.09
C: 0.2101 0.8918 0.4670  3 H 1.09
C: 0.2569 0.7899 0.6817  3 H 1.09
C: 0.3365 0.3735 0.7101  1 N 1.18
C: 0.3486 0.3486 0.0000  1 N 1.18
C: 0.3735 0.6635 0.0370  1 N 1.18
C: 0.4248 0.7431 0.5330  3 H 1.09
C: 0.5752 0.2569 0.4670  3 H 1.09
C: 0.6265 0.3365 0.9630  1 N 1.18
C: 0.6514 0.6514 0.0000  1 N 1.18
C: 0.6635 0.6265 0.2899  1 N 1.18
C: 0.7431 0.2101 0.3183  3 H 1.09
C: 0.7899 0.1082 0.5330  3 H 1.09
C: 0.8918 0.4248 0.6817  3 H 1.09
N: 0.2367 0.2953 0.5320  1 C 1.18
N: 0.2500 0.7500 0.5000  4 C 1.49
N: 0.2565 0.2565 0.0000  1 C 1.18
N: 0.2953 0.7633 0.0585  1 C 1.18
N: 0.7047 0.2367 0.9415  1 C 1.18
N: 0.7435 0.7435 0.0000  1 C 1.18
N: 0.7500 0.2500 0.5000  4 C 1.49
N: 0.7633 0.7047 0.4680  1 C 1.18

Entry 4:
Below is a geometry-optimized CsMg6Al structure, with properties calculated at the PBE-GGA level.

Summary:
Final energy = -1.46 eV per atom
Energy above the lowest structure with this stoichiometry = 9.8 kJ per mole of atoms
ΔE_f = 31.0 kJ per mole of atoms

Cell: 5.1654 7.2926 11.8822 Å, 90.00 90.00 90.00°
Closest atoms and distances in Å follow each position.
Element x y z (fractional)
Mg: 0.5000 0.2578 0.5828  1 Al 3.17, 7 Mg 3.20-3.53, 2 Cs 3.44-3.53
Mg: 0.0000 0.7064 0.4137  5 Mg 3.01-3.31, 2 Al 3.05
Mg: 0.0000 0.2064 0.9137  5 Mg 3.01-3.31, 2 Al 3.05
Al: 0.5000 0.5000 0.3611  6 Mg 3.05-3.17
Mg: 0.5000 0.2422 0.0828  1 Al 3.17, 7 Mg 3.20-3.53, 2 Cs 3.44-3.53
Mg: 0.0000 0.0000 0.1407  6 Mg 3.09-3.20
Mg: 0.0000 0.5000 0.1653  10 Mg 3.31-3.68, 2 Al 3.48
Mg: 0.5000 0.7578 0.0828  1 Al 3.17, 7 Mg 3.20-3.53, 2 Cs 3.44-3.53
Cs: 0.5000 0.0000 0.3401  10 Mg 3.44-3.53, 2 Al 3.65
Mg: 0.0000 0.7936 0.9137  5 Mg 3.01-3.31, 2 Al 3.05
Mg: 0.5000 0.7422 0.5828  1 Al 3.17, 7 Mg 3.20-3.53, 2 Cs 3.44-3.53
Mg: 0.0000 0.2936 0.4137  5 Mg 3.01-3.31, 2 Al 3.05
Mg: 0.0000 0.5000 0.6407  6 Mg 3.09-3.20
Cs: 0.5000 0.5000 0.8401  10 Mg 3.44-3.53, 2 Al 3.65
Al: 0.5000 0.0000 0.8611  6 Mg 3.05-3.17
Mg: 0.0000 0.0000 0.6653  10 Mg 3.31-3.68, 2 Al 3.48

Entry 5:
Below is a geometry-optimized Ho2MgCu2 structure, with properties calculated at the PBE-GGA level.

Summary:
Crystal system = tetragonal
Final energy = -4.03 eV per atom
Symmetry = P4/mbm
ΔE_f = -22.7 kJ per mole of atoms

Cell: 7.6823 7.6823 3.6179 Å, 90.00 90.00 90.00°
Closest atoms and distances in Å follow each position.
Element x y z (fractional)
Ho: 0.1768 0.3232 0.0000  6 Cu 2.86-2.94
Ho: 0.3232 0.8232 0.0000  6 Cu 2.86-2.94
Ho: 0.6768 0.1768 0.0000  6 Cu 2.86-2.94
Ho: 0.8232 0.6768 0.0000  6 Cu 2.86-2.94
Mg: 0.0000 0.0000 0.5000  4 Cu 3.07, 8 Ho 3.36
Mg: 0.5000 0.5000 0.5000  4 Cu 3.07, 8 Ho 3.36
Cu: 0.1192 0.6192 0.5000  1 Cu 2.59, 2 Ho 2.86
Cu: 0.3808 0.1192 0.5000  1 Cu 2.59, 2 Ho 2.86
Cu: 0.6192 0.8808 0.5000  1 Cu 2.59, 2 Ho 2.86
Cu: 0.8808 0.3808 0.5000  1 Cu 2.59, 2 Ho 2.86

Entry 6:
Below is a geometry-optimized Ba4Sr2Y3Sb3O18 structure, with properties calculated at the PBE-GGA level.

Summary:
Crystal system = triclinic
Final energy = -7.05 eV per atom
Symmetry = P1
ΔE_f = -296.2 kJ per mole of atoms

Cell: 5.9930 5.9997 13.4068 Å, 102.83 102.89 90.06°
Closest atoms and distances in Å follow each position.
Element x y z (fractional)
Ba: 0.0000 0.0000 0.0000  12 O 2.87-3.12
Ba: 0.1668 0.1688 0.3360  12 O 2.88-3.20
Ba: 0.3345 0.3348 0.6695  12 O 2.90-3.11
Ba: 0.6682 0.6674 0.3355  12 O 2.90-3.12
Sr: 0.4955 0.5057 0.0057  11 O 2.76-3.06
Sr: 0.8283 0.8384 0.6709  11 O 2.76-3.07
Y: 0.2505 0.7515 0.5031  6 O 2.22-2.26
Y: 0.5840 0.0841 0.1675  6 O 2.23-2.25
Y: 0.9171 0.4178 0.8353  6 O 2.22-2.24
Sb: 0.0834 0.5834 0.1671  6 O 2.00-2.02
Sb: 0.4178 0.9176 0.8352  6 O 2.00-2.01
Sb: 0.7514 0.2517 0.5029  6 O 2.01-2.02
O: 0.1723 0.6722 0.3254  1 Sb 2.02
O: 0.1748 0.6935 0.8414  1 Sb 2.01, 1 Y 2.24
O: 0.1930 0.1656 0.8359  1 Sb 2.01, 1 Y 2.24
O: 0.3123 0.3386 0.1664  1 Sb 2.01, 1 Y 2.23
O: 0.3278 0.8293 0.6774  1 Sb 2.01, 1 Y 2.22
O: 0.3298 0.8014 0.1579  1 Sb 2.01, 1 Y 2.24
O: 0.5064 0.0082 0.9924  1 Sb 2.00, 1 Y 2.23
O: 0.5108 0.0255 0.5099  1 Sb 2.01, 1 Y 2.24
O: 0.5266 0.5002 0.5040  1 Sb 2.01, 1 Y 2.24
O: 0.6442 0.6705 0.8358  1 Sb 2.01, 1 Y 2.23
O: 0.6624 0.1633 0.3445  1 Sb 2.02, 1 Y 2.25
O: 0.6647 0.1334 0.8249  1 Sb 2.01, 1 Y 2.24
O: 0.8385 0.3605 0.1724  1 Sb 2.01, 1 Y 2.23
O: 0.8396 0.3418 0.6604  1 Sb 2.01, 1 Y 2.23
O: 0.8551 0.8282 0.1666  1 Sb 2.01, 1 Y 2.24
O: 0.9773 0.0041 0.5043  1 Sb 2.01, 1 Y 2.23
O: 0.9944 0.4746 0.4958  1 Sb 2.01, 1 Y 2.23
O: 0.9942 0.4955 0.0097  1 Sb 2.00, 1 Y 2.22